# 1
A geometry-optimized MgCuP2O7 structure. Source: the Materials Project database, functional PBE.

DFT formation energy: -2486 meV per atom
energy: -294.796 eV/cell
total energy after the MP2020 corrections: -314.0 eV for the cell shown
space-group type: P2_1/c (14)
total magnetic moment: 1.0 μB/f.u.

Unit cell a=6.976 b=8.277 c=9.287 alpha=90.00 beta=110.62 gamma=90.00
Element x y z (fractional)
Mg  0.190  0.062  0.316
Mg  0.190  0.438  0.816
Mg  0.810  0.562  0.184
Mg  0.810  0.938  0.684
Cu  0.267  0.070  0.891
Cu  0.267  0.430  0.391
Cu  0.733  0.570  0.609
Cu  0.733  0.930  0.109
P  0.034  0.730  0.971
P  0.034  0.770  0.471
P  0.432  0.733  0.256
P  0.432  0.767  0.756
P  0.568  0.233  0.244
P  0.568  0.267  0.744
P  0.966  0.230  0.529
P  0.966  0.270  0.029
O  0.007  0.091  0.641
O  0.007  0.409  0.141
O  0.048  0.607  0.395
O  0.048  0.893  0.895
O  0.127  0.242  0.448
O  0.127  0.258  0.948
O  0.248  0.682  0.100
O  0.248  0.818  0.600
O  0.379  0.240  0.294
O  0.379  0.260  0.794
O  0.383  0.609  0.814
O  0.383  0.891  0.314
O  0.458  0.591  0.370
O  0.458  0.909  0.870
O  0.542  0.091  0.130
O  0.542  0.409  0.630
O  0.617  0.109  0.686
O  0.617  0.391  0.186
O  0.621  0.740  0.206
O  0.621  0.760  0.706
O  0.752  0.182  0.400
O  0.752  0.318  0.900
O  0.873  0.742  0.052
O  0.873  0.758  0.552
O  0.952  0.107  0.105
O  0.952  0.393  0.605
O  0.993  0.591  0.859
O  0.993  0.909  0.359

# 2
A geometry-optimized Ce4Fe structure. Source: the Materials Project database, functional PBE.

DFT formation energy: 321 meV per atom
energy: -61.200 eV/cell
space-group type: Fd-3m (227)
total magnetic moment: 2.3 μB/f.u.

Unit cell a=7.232 b=7.232 c=7.232 alpha=60.00 beta=60.00 gamma=60.00
Element x y z (fractional)
Ce  0.218  0.761  0.761
Ce  0.239  0.239  0.239
Ce  0.239  0.239  0.782
Ce  0.239  0.782  0.239
Ce  0.761  0.218  0.761
Ce  0.761  0.761  0.218
Ce  0.761  0.761  0.761
Ce  0.782  0.239  0.239
Fe  0.375  0.375  0.375
Fe  0.625  0.625  0.625

# 3
A geometry-optimized Na8Zr2Ga2Si5SO24 structure. Source: the Materials Project database, functional PBE.

DFT formation energy: -2762 meV per atom
energy: -849.818 eV/cell
total energy after the MP2020 corrections: -899.3 eV for the cell shown
space-group type: P1 (1)
total magnetic moment: 0.0 μB/f.u.

Unit cell a=9.114 b=9.134 c=22.352 alpha=90.27 beta=90.14 gamma=119.74
Element x y z (fractional)
Na  0.000  0.000  0.000
Na  0.000  0.362  0.504
Na  0.273  0.002  0.501
Na  0.273  0.636  0.003
Na  0.294  0.328  0.587
Na  0.304  0.337  0.088
Na  0.306  0.974  0.834
Na  0.319  0.716  0.333
Na  0.333  0.670  0.665
Na  0.337  0.039  0.169
Na  0.600  0.665  0.169
Na  0.601  0.288  0.669
Na  0.628  0.995  0.252
Na  0.639  0.641  0.498
Na  0.641  0.369  0.000
Na  0.643  0.016  0.751
Na  0.659  0.328  0.335
Na  0.679  0.705  0.839
Na  0.922  0.324  0.832
Na  0.929  0.963  0.339
Na  0.963  0.668  0.916
Na  0.968  0.676  0.418
Na  0.971  0.044  0.664
Na  0.977  0.304  0.166
Zr  0.307  0.325  0.935
Zr  0.309  0.332  0.439
Zr  0.638  0.001  0.102
Zr  0.969  0.676  0.267
Zr  0.972  0.671  0.065
Zr  0.980  0.670  0.565
Ga  0.279  0.295  0.734
Ga  0.325  0.340  0.230
Ga  0.621  0.988  0.404
Ga  0.636  0.015  0.598
Ga  0.650  0.017  0.902
Ga  0.970  0.665  0.767
Si  0.267  0.661  0.169
Si  0.268  0.960  0.670
Si  0.310  0.043  0.333
Si  0.349  0.998  0.996
Si  0.354  0.717  0.502
Si  0.595  0.632  0.333
Si  0.602  0.337  0.829
Si  0.636  0.713  0.996
Si  0.640  0.287  0.499
Si  0.673  0.372  0.168
Si  0.916  0.001  0.501
Si  0.931  0.296  0.998
Si  0.974  0.372  0.671
Si  0.978  0.976  0.168
Si  0.998  0.029  0.832
S  0.011  0.333  0.333
S  0.303  0.626  0.831
S  0.676  0.668  0.669
O  0.006  0.491  0.611
O  0.011  0.887  0.110
O  0.080  0.156  0.774
O  0.092  0.312  0.279
O  0.107  0.170  0.496
O  0.114  0.359  0.388
O  0.120  0.319  0.993
O  0.124  0.119  0.890
O  0.141  0.852  0.331
O  0.145  0.159  0.177
O  0.145  0.878  0.611
O  0.148  0.632  0.110
O  0.148  0.642  0.829
O  0.152  0.363  0.677
O  0.160  0.833  0.002
O  0.162  0.695  0.506
O  0.175  0.837  0.728
O  0.179  0.697  0.227
O  0.269  0.125  0.392
O  0.279  0.523  0.886
O  0.280  0.490  0.175
O  0.286  0.151  0.672
O  0.324  0.524  0.497
O  0.328  0.544  0.778
O  0.329  0.168  0.994
O  0.337  0.163  0.275
O  0.423  0.828  0.442
O  0.437  0.966  0.938
O  0.452  0.832  0.165
O  0.455  0.796  0.836
O  0.455  0.975  0.663
O  0.462  0.035  0.057
O  0.467  0.525  0.993
O  0.470  0.310  0.496
O  0.473  0.799  0.561
O  0.474  0.308  0.772
O  0.474  0.543  0.275
O  0.483  0.029  0.339
O  0.488  0.358  0.171
O  0.506  0.513  0.392
O  0.507  0.516  0.673
O  0.519  0.375  0.889
O  0.598  0.175  0.560
O  0.603  0.792  0.057
O  0.611  0.162  0.836
O  0.620  0.823  0.339
O  0.656  0.186  0.165
O  0.661  0.822  0.664
O  0.669  0.833  0.939
O  0.676  0.205  0.440
O  0.755  0.641  0.614
O  0.762  0.493  0.110
O  0.782  0.644  0.331
O  0.784  0.695  0.722
O  0.791  0.508  0.825
O  0.794  0.458  0.227
O  0.803  0.479  0.505
O  0.804  0.969  0.440
O  0.805  0.183  0.664
O  0.805  0.693  0.002
O  0.806  0.987  0.165
O  0.809  0.011  0.838
O  0.812  0.216  0.940
O  0.835  0.034  0.561
O  0.841  0.183  0.337
O  0.851  0.179  0.058
O  0.936  0.463  0.728
O  0.938  0.849  0.226
O  0.939  0.832  0.506
O  0.949  0.483  0.004
O  0.989  0.845  0.824
O  0.995  0.489  0.331